## Na2CdH4S2O10 (PBE-GGA)

Data for Na2CdH4S2O10 after structural relaxation.

a = 5.972 Å, b = 13.207 Å, c = 5.649 Å
α = 90.00°, β = 106.00°, γ = 90.00°
Space group P2_1/c (No. 14)
Unique sites:
Na: 0.079 0.117 0.264 x4
Cd: 0.500 0.000 0.000 x2
H: 0.186 0.160 0.825 x4
H: 0.405 0.210 0.018 x4
S: 0.262 0.618 0.919 x4
O: 0.071 0.693 0.904 x4
O: 0.213 0.561 0.678 x4
O: 0.254 0.543 0.117 x4
O: 0.303 0.149 0.986 x4
O: 0.494 0.667 0.975 x4

Results
Final energy in eV/atom: -5.38
Spin magnetization in μB per cell: 0.00
Energy of formation in eV per atom: -1.799